# 1
Below is TiZnNi2 after structural relaxation, with properties calculated at the GGA-PBE level.

The structure in POSCAR format:
```
TiZnNi2
1.0
3.0125 0.0000 0.0000
0.0000 3.0125 0.0000
0.0000 0.0000 5.6299
Ti Zn Ni
1 1 2
Cartesian
1.5063 1.5063 0.0000
1.5063 1.5063 2.8150
0.0000 0.0000 4.2285
0.0000 0.0000 1.4014
```


# 2
Below is ZrTi2Ni9 after structural relaxation, with properties calculated at the GGA-PBE level.

The structure in POSCAR format:
```
ZrTi2Ni9
1.0
6.4869 -2.5945 0.0000
6.4869 2.5945 0.0000
5.4492 0.0000 4.3724
Zr Ti Ni
1 2 9
Cartesian
4.0379 0.0000 0.9583
14.4226 0.0000 3.4229
18.4177 0.0000 4.3711
11.9794 0.0000 4.3454
12.4857 1.2659 2.2121
12.4857 -1.2659 2.2121
8.2934 -1.2373 1.2341
7.7986 0.0000 3.3192
8.2934 1.2373 1.2341
10.0830 1.2454 3.1320
10.5812 0.0000 1.0332
10.0830 -1.2454 3.1320
```


# 3
Below is ZrTiNi after structural relaxation, with properties calculated at the GGA-PBE level.

The structure in POSCAR format:
```
ZrTiNi
1.0
1.8246 -3.2210 3.6723
0.0657 -5.1522 -0.9014
7.7272 0.6678 -3.2535
Zr Ti Ni
4 4 4
Cartesian
5.0092 -2.3127 -0.9598
4.7768 -5.1793 0.3235
1.5621 -5.4571 1.6770
7.7991 -2.0716 -2.1344
7.4225 -6.7058 -0.0549
2.2622 -3.7489 -0.8324
3.1507 -2.7710 1.4785
2.2489 -1.2483 -0.3508
3.8744 0.3277 -1.6290
7.7191 0.6600 -3.2478
7.3534 -4.0392 0.3282
6.5000 -4.9791 -1.8915
```


# 4
Below is ZrTi2Ni9 after structural relaxation, with properties calculated at the GGA-PBE level.

The structure in POSCAR format:
```
ZrTi2Ni9
1.0
6.5035 -2.5805 0.0000
6.5035 2.5805 0.0000
5.4796 0.0000 4.3507
Zr Ti Ni
1 2 9
Cartesian
0.0000 0.0000 0.0000
14.4357 0.0000 3.3974
4.0508 0.0000 0.9533
6.5035 0.0000 0.0000
5.9915 1.2902 2.1753
5.9915 -1.2902 2.1753
10.0841 -1.2324 3.1042
10.5731 0.0000 1.0264
10.0841 1.2324 3.1042
8.4024 1.2324 1.2465
7.9134 0.0000 3.3243
8.4024 -1.2324 1.2465
```


# 5
Below is Tm3Ni after structural relaxation, with properties calculated at the GGA-PBE level.

The structure in POSCAR format:
```
Tm3Ni
1.0
0.0000 0.0000 6.2338
6.7220 0.0000 0.0000
0.0000 9.4277 0.0000
Tm Ni
12 4
Cartesian
0.2178 2.3569 3.9784
6.5043 7.0708 2.2554
3.1433 7.0708 0.8615
3.5788 2.3569 5.3723
1.2016 0.6129 1.1230
5.5204 8.8148 5.1108
2.1594 8.8148 4.2399
5.5204 5.3267 5.1108
4.5627 0.6129 1.9939
1.2016 4.1010 1.1230
4.5627 4.1010 1.9939
2.1594 5.3267 4.2399
2.6478 2.3569 2.7738
4.0743 7.0708 3.4600
0.7132 7.0708 5.8907
6.0088 2.3569 0.3431
```


# 6
Below is TmNi3 after structural relaxation, with properties calculated at the GGA-PBE level.

The structure in POSCAR format:
```
TmNi3
1.0
-2.4673 -4.2735 0.0000
2.4673 -4.2735 0.0000
0.0000 -2.8490 8.0702
Tm Ni
3 9
Cartesian
0.0000 -2.8490 4.6961
0.0000 -8.5470 3.3741
0.0000 0.0000 0.0000
1.2371 -4.9837 6.0758
0.0000 -7.1265 6.0758
-1.2371 -4.9837 6.0758
-1.2371 -6.4123 1.9945
0.0000 -4.2695 1.9945
1.2371 -6.4123 1.9945
0.0000 -5.6980 8.0687
0.0000 -5.6980 0.0016
0.0000 -5.6980 4.0351
```


# 7
Below is TmNi5 after structural relaxation, with properties calculated at the GGA-PBE level.

The structure in POSCAR format:
```
TmNi5
1.0
-0.7207 0.4759 4.7504
-3.4995 -1.7874 -2.8056
1.4007 -3.6499 0.5781
Tm Ni
1 5
Cartesian
0.0000 0.0000 0.0000
-2.5732 -1.0330 -0.2869
-1.6470 -0.2785 2.2318
0.3400 -1.5870 2.6643
-1.4097 -2.4807 1.2615
-1.0494 -2.7186 -1.1137
```


# 8
Below is U6Ni after structural relaxation, with properties calculated at the GGA-PBE level.

The structure in POSCAR format:
```
U6Ni
1.0
5.2377 4.3869 -3.5843
-0.7312 -4.8578 5.9492
-0.5537 -5.3484 -5.5330
U Ni
12 2
Cartesian
-0.5123 -8.0848 -0.6336
2.6607 -1.5279 -5.3745
4.0356 -1.5831 -2.4823
4.4651 2.2655 -2.5345
1.2921 -4.2914 2.2064
3.0680 -4.5362 -1.2265
0.8848 -1.2831 -1.9416
1.4866 -3.2602 -3.4820
0.5444 -6.4481 -2.3214
2.4662 -2.5591 0.3139
-0.0828 -4.2362 -0.6858
3.4084 0.6289 -0.8467
1.1266 -0.1177 0.5912
3.3799 -0.3532 1.7737
```


# 9
Below is UZnNi4 after structural relaxation, with properties calculated at the GGA-PBE level.

The structure in POSCAR format:
```
UZnNi4
1.0
0.0000 3.4226 3.4226
3.4226 0.0000 3.4226
3.4226 3.4226 0.0000
U Zn Ni
1 1 4
Cartesian
0.0000 0.0000 0.0000
5.1340 5.1340 5.1340
4.2701 2.5752 4.2701
4.2701 4.2701 2.5752
2.5752 4.2701 4.2701
2.5752 2.5752 2.5752
```


# 10
Below is VNi3 after structural relaxation, with properties calculated at the GGA-PBE level.

The structure in POSCAR format:
```
VNi3
1.0
-1.7622 1.7622 3.5968
1.7622 -1.7622 3.5968
1.7622 1.7622 -3.5968
V Ni
1 3
Cartesian
0.0000 0.0000 0.0000
0.0000 1.7622 1.7984
1.7622 0.0000 1.7984
0.0000 0.0000 3.5968
```


# 11
Below is VNi2 after structural relaxation, with properties calculated at the GGA-PBE level.

The structure in POSCAR format:
```
VNi2
1.0
4.0704 0.3841 1.5762
1.0595 -1.8562 3.8252
-1.5143 -0.6122 -4.0659
V Ni
1 2
Cartesian
0.0000 0.0000 0.0000
3.4262 -0.9832 3.6075
1.7037 -0.4889 1.7938
```


# 12
Below is VNi3 after structural relaxation, with properties calculated at the GGA-PBE level.

The structure in POSCAR format:
```
VNi3
1.0
8.2357 -1.2566 0.0000
8.2357 1.2566 0.0000
8.0439 0.0000 2.1680
V Ni
1 3
Cartesian
0.0000 0.0000 0.0000
6.1274 0.0000 0.5419
12.2576 0.0000 1.0840
18.3878 0.0000 1.6261
```


no.,E (eV/atom),ΔE_f (eV/f.u.),calculated volume (Å³/cell)
1,-5.533,-1.42,51
2,-6.819,-5.47,147
3,-7.650,-0.73,200
4,-6.817,-5.44,146
5,-5.077,-1.10,395
6,-5.902,-1.79,170
7,-5.902,-2.04,80
8,-10.523,-0.13,271
9,-6.226,-1.68,80
10,-6.848,-0.97,45
11,-7.124,-0.73,34
12,-6.631,-0.10,45